No. 1
# Y15Ni28P21 (PBE-GGA, optimized geometry)
data_Y15Ni28P21
_chemical_formula_sum 'Y30 Ni56 P42'
_space_group_name_H-M_alt 'P 1'
_space_group_IT_number 1
_cell_length_a 23.985
_cell_length_b 23.985
_cell_length_c 3.838
_cell_angle_alpha 90.00
_cell_angle_beta 90.00
_cell_angle_gamma 120.00
loop_
_space_group_symop_operation_xyz
'x,y,z'
loop_
_atom_site_label
_atom_site_type_symbol
_atom_site_fract_x
_atom_site_fract_y
_atom_site_fract_z
Y1 Y 0.070 0.828 0.250
Y2 Y 0.093 0.680 0.250
Y3 Y 0.118 0.533 0.250
Y4 Y 0.145 0.387 0.250
Y5 Y 0.172 0.242 0.250
Y6 Y 0.242 0.070 0.750
Y7 Y 0.242 0.855 0.250
Y8 Y 0.268 0.707 0.250
Y9 Y 0.293 0.561 0.250
Y10 Y 0.320 0.413 0.250
Y11 Y 0.387 0.242 0.750
Y12 Y 0.413 0.093 0.750
Y13 Y 0.415 0.882 0.250
Y14 Y 0.439 0.732 0.250
Y15 Y 0.467 0.585 0.250
Y16 Y 0.533 0.415 0.750
Y17 Y 0.561 0.268 0.750
Y18 Y 0.585 0.118 0.750
Y19 Y 0.587 0.907 0.250
Y20 Y 0.613 0.758 0.250
Y21 Y 0.680 0.587 0.750
Y22 Y 0.707 0.439 0.750
Y23 Y 0.732 0.293 0.750
Y24 Y 0.758 0.145 0.750
Y25 Y 0.758 0.930 0.250
Y26 Y 0.828 0.758 0.750
Y27 Y 0.855 0.613 0.750
Y28 Y 0.882 0.467 0.750
Y29 Y 0.907 0.320 0.750
Y30 Y 0.930 0.172 0.750
Ni1 Ni 0.007 0.464 0.750
Ni2 Ni 0.019 0.389 0.250
Ni3 Ni 0.031 0.316 0.750
Ni4 Ni 0.036 0.934 0.250
Ni5 Ni 0.043 0.242 0.250
Ni6 Ni 0.061 0.175 0.750
Ni7 Ni 0.066 0.102 0.250
Ni8 Ni 0.102 0.036 0.750
Ni9 Ni 0.114 0.939 0.750
Ni10 Ni 0.136 0.788 0.750
Ni11 Ni 0.160 0.640 0.750
Ni12 Ni 0.175 0.114 0.250
Ni13 Ni 0.186 0.494 0.750
Ni14 Ni 0.199 0.957 0.250
Ni15 Ni 0.212 0.348 0.750
Ni16 Ni 0.242 0.199 0.750
Ni17 Ni 0.285 0.969 0.750
Ni18 Ni 0.308 0.814 0.750
Ni19 Ni 0.316 0.285 0.250
Ni20 Ni 0.333 0.667 0.750
Ni21 Ni 0.348 0.136 0.250
Ni22 Ni 0.360 0.519 0.750
Ni23 Ni 0.370 0.981 0.250
Ni24 Ni 0.389 0.370 0.750
Ni25 Ni 0.456 0.993 0.750
Ni26 Ni 0.464 0.456 0.250
Ni27 Ni 0.481 0.840 0.750
Ni28 Ni 0.494 0.308 0.250
Ni29 Ni 0.506 0.692 0.750
Ni30 Ni 0.519 0.160 0.250
Ni31 Ni 0.536 0.544 0.750
Ni32 Ni 0.544 0.007 0.250
Ni33 Ni 0.611 0.630 0.250
Ni34 Ni 0.630 0.019 0.750
Ni35 Ni 0.640 0.481 0.250
Ni36 Ni 0.652 0.864 0.750
Ni37 Ni 0.667 0.333 0.250
Ni38 Ni 0.684 0.715 0.750
Ni39 Ni 0.692 0.186 0.250
Ni40 Ni 0.715 0.031 0.250
Ni41 Ni 0.758 0.801 0.250
Ni42 Ni 0.788 0.652 0.250
Ni43 Ni 0.801 0.043 0.750
Ni44 Ni 0.814 0.506 0.250
Ni45 Ni 0.825 0.886 0.750
Ni46 Ni 0.840 0.360 0.250
Ni47 Ni 0.864 0.212 0.250
Ni48 Ni 0.886 0.061 0.250
Ni49 Ni 0.898 0.964 0.250
Ni50 Ni 0.934 0.898 0.750
Ni51 Ni 0.939 0.825 0.250
Ni52 Ni 0.957 0.758 0.750
Ni53 Ni 0.964 0.066 0.750
Ni54 Ni 0.969 0.684 0.250
Ni55 Ni 0.981 0.611 0.750
Ni56 Ni 0.993 0.536 0.250
P1 P 0.007 0.869 0.750
P2 P 0.031 0.722 0.750
P3 P 0.054 0.575 0.750
P4 P 0.080 0.428 0.750
P5 P 0.106 0.283 0.750
P6 P 0.131 0.138 0.750
P7 P 0.138 0.007 0.250
P8 P 0.177 0.894 0.750
P9 P 0.202 0.747 0.750
P10 P 0.226 0.600 0.750
P11 P 0.253 0.454 0.750
P12 P 0.278 0.309 0.750
P13 P 0.283 0.177 0.250
P14 P 0.309 0.031 0.250
P15 P 0.347 0.920 0.750
P16 P 0.374 0.774 0.750
P17 P 0.400 0.626 0.750
P18 P 0.425 0.479 0.750
P19 P 0.428 0.347 0.250
P20 P 0.454 0.202 0.250
P21 P 0.479 0.054 0.250
P22 P 0.521 0.946 0.750
P23 P 0.546 0.798 0.750
P24 P 0.572 0.653 0.750
P25 P 0.575 0.521 0.250
P26 P 0.600 0.374 0.250
P27 P 0.626 0.226 0.250
P28 P 0.653 0.080 0.250
P29 P 0.691 0.969 0.750
P30 P 0.717 0.823 0.750
P31 P 0.722 0.691 0.250
P32 P 0.747 0.546 0.250
P33 P 0.774 0.400 0.250
P34 P 0.798 0.253 0.250
P35 P 0.823 0.106 0.250
P36 P 0.862 0.993 0.750
P37 P 0.869 0.862 0.250
P38 P 0.894 0.717 0.250
P39 P 0.920 0.572 0.250
P40 P 0.946 0.425 0.250
P41 P 0.969 0.278 0.250
P42 P 0.993 0.131 0.250
# - Space group: P6_3/m (176)
# - Energy relative to the elements: -1.06 eV/atom

No. 2
# Zr3Si (PBE-GGA, optimized geometry)
data_Zr3Si
_chemical_formula_sum 'Zr6 Si2'
_space_group_name_H-M_alt 'P 1'
_space_group_IT_number 1
_cell_length_a 6.117
_cell_length_b 6.117
_cell_length_c 4.971
_cell_angle_alpha 90.00
_cell_angle_beta 90.00
_cell_angle_gamma 120.00
loop_
_space_group_symop_operation_xyz
'x,y,z'
loop_
_atom_site_label
_atom_site_type_symbol
_atom_site_fract_x
_atom_site_fract_y
_atom_site_fract_z
Zr1 Zr 0.173 0.345 0.250
Zr2 Zr 0.173 0.827 0.250
Zr3 Zr 0.345 0.173 0.750
Zr4 Zr 0.655 0.827 0.250
Zr5 Zr 0.827 0.173 0.750
Zr6 Zr 0.827 0.655 0.750
Si1 Si 0.333 0.667 0.750
Si2 Si 0.667 0.333 0.250
# - Space group: P6_3/mmc (194)
# - Corrected total energy (MP2020 scheme): -8.100 eV per atom
# - Energy relative to the elements: -0.33 eV/atom

No. 3
# Ag3AsF12 (PBE-GGA, optimized geometry)
data_Ag3AsF12
_chemical_formula_sum 'Ag3 As1 F12'
_space_group_name_H-M_alt 'P 1'
_space_group_IT_number 1
_cell_length_a 5.446
_cell_length_b 5.797
_cell_length_c 8.191
_cell_angle_alpha 85.95
_cell_angle_beta 88.54
_cell_angle_gamma 88.48
loop_
_space_group_symop_operation_xyz
'x,y,z'
loop_
_atom_site_label
_atom_site_type_symbol
_atom_site_fract_x
_atom_site_fract_y
_atom_site_fract_z
Ag1 Ag 0.000 0.000 0.000
Ag2 Ag 0.000 0.000 0.500
Ag3 Ag 0.500 0.500 0.000
As1 As 0.500 0.500 0.500
F1 F 0.052 0.990 0.753
F2 F 0.179 0.663 0.044
F3 F 0.244 0.365 0.419
F4 F 0.340 0.195 0.025
F5 F 0.345 0.507 0.692
F6 F 0.370 0.778 0.437
F7 F 0.630 0.222 0.563
F8 F 0.655 0.493 0.308
F9 F 0.660 0.805 0.975
F10 F 0.756 0.635 0.581
F11 F 0.821 0.337 0.956
F12 F 0.948 0.010 0.247
# - Space group: P-1 (2)
# - Corrected total energy (MP2020 scheme): -4.062 eV per atom
# - Energy relative to the elements: -1.80 eV/atom

No. 4
# Y2Pt2Se7 (PBE-GGA, optimized geometry)
data_Y2Pt2Se7
_chemical_formula_sum 'Y4 Pt4 Se14'
_space_group_name_H-M_alt 'P 1'
_space_group_IT_number 1
_cell_length_a 9.096
_cell_length_b 9.096
_cell_length_c 9.096
_cell_angle_alpha 60.00
_cell_angle_beta 60.00
_cell_angle_gamma 60.00
loop_
_space_group_symop_operation_xyz
'x,y,z'
loop_
_atom_site_label
_atom_site_type_symbol
_atom_site_fract_x
_atom_site_fract_y
_atom_site_fract_z
Y1 Y 0.000 0.000 0.000
Y2 Y 0.000 0.000 0.500
Y3 Y 0.000 0.500 0.000
Y4 Y 0.500 0.000 0.000
Pt1 Pt 0.000 0.500 0.500
Pt2 Pt 0.500 0.000 0.500
Pt3 Pt 0.500 0.500 0.000
Pt4 Pt 0.500 0.500 0.500
Se1 Se 0.125 0.125 0.125
Se2 Se 0.162 0.162 0.588
Se3 Se 0.162 0.588 0.162
Se4 Se 0.162 0.588 0.588
Se5 Se 0.412 0.412 0.838
Se6 Se 0.412 0.838 0.412
Se7 Se 0.412 0.838 0.838
Se8 Se 0.588 0.162 0.162
Se9 Se 0.588 0.162 0.588
Se10 Se 0.588 0.588 0.162
Se11 Se 0.838 0.412 0.412
Se12 Se 0.838 0.412 0.838
Se13 Se 0.838 0.838 0.412
Se14 Se 0.875 0.875 0.875
# - Space group: Fd-3m (227)
# - Corrected total energy (MP2020 scheme): -5.767 eV per atom
# - Energy relative to the elements: -1.26 eV/atom

No. 5
# CdSnAs2 (PBE-GGA, optimized geometry)
data_CdSnAs2
_chemical_formula_sum 'Cd1 Sn1 As2'
_space_group_name_H-M_alt 'P 1'
_space_group_IT_number 1
_cell_length_a 7.046
_cell_length_b 7.046
_cell_length_c 7.046
_cell_angle_alpha 33.38
_cell_angle_beta 33.38
_cell_angle_gamma 33.38
loop_
_space_group_symop_operation_xyz
'x,y,z'
loop_
_atom_site_label
_atom_site_type_symbol
_atom_site_fract_x
_atom_site_fract_y
_atom_site_fract_z
Cd1 Cd 0.000 0.000 0.000
Sn1 Sn 0.500 0.500 0.500
As1 As 0.249 0.249 0.249
As2 As 0.751 0.751 0.751
# - Energy relative to the lowest polymorph listed for this composition: 53.4 kJ/mol of formula units
# - Space group: R-3m (166)
# - Energy relative to the elements: 0.01 eV/atom

No. 6
# CaB2H2O8 (PBE-GGA, optimized geometry)
data_CaB2H2O8
_chemical_formula_sum 'Ca2 B4 H4 O16'
_space_group_name_H-M_alt 'P 1'
_space_group_IT_number 1
_cell_length_a 6.554
_cell_length_b 6.554
_cell_length_c 9.187
_cell_angle_alpha 115.79
_cell_angle_beta 115.79
_cell_angle_gamma 50.05
loop_
_space_group_symop_operation_xyz
'x,y,z'
loop_
_atom_site_label
_atom_site_type_symbol
_atom_site_fract_x
_atom_site_fract_y
_atom_site_fract_z
Ca1 Ca 0.105 0.895 0.750
Ca2 Ca 0.895 0.105 0.250
B1 B 0.234 0.566 0.985
B2 B 0.434 0.766 0.515
B3 B 0.566 0.234 0.485
B4 B 0.766 0.434 0.015
H1 H 0.010 0.495 0.754
H2 H 0.495 0.010 0.254
H3 H 0.505 0.990 0.746
H4 H 0.990 0.505 0.246
O1 O 0.067 0.642 0.082
O2 O 0.121 0.569 0.810
O3 O 0.217 0.702 0.439
O4 O 0.290 0.500 0.513
O5 O 0.298 0.783 0.061
O6 O 0.358 0.933 0.418
O7 O 0.431 0.879 0.690
O8 O 0.500 0.290 0.013
O9 O 0.500 0.710 0.987
O10 O 0.569 0.121 0.310
O11 O 0.642 0.067 0.582
O12 O 0.702 0.217 0.939
O13 O 0.710 0.500 0.487
O14 O 0.783 0.298 0.561
O15 O 0.879 0.431 0.190
O16 O 0.933 0.358 0.918
# - Space group: C2/c (15)
# - Corrected total energy (MP2020 scheme): -6.551 eV per atom
# - Energy relative to the elements: -1.80 eV/atom